The following is a DFT calculation (GGA+U) of a relaxed structure of Li3Co3NiO8.

Properties
Electronic total energy: -5.441 eV/atom
Magnetization: 3.33 μB/cell
Offset from the most stable computed form: 35 meV/atom
E (MP2020): -6.304 eV per atom
Energy of formation from the pure elements: -22.1 eV/f.u.

a = 5.7680 Å, b = 5.7680 Å, c = 14.6134 Å
α = 90.00°, β = 90.00°, γ = 120.00°
Space group R-3m (No. 166, hexagonal axes)
Asymmetric unit:
Li1 0.0000 0.5000 0.0000
Co1 0.0000 0.5000 0.5000
Ni1 0.0000 0.0000 0.5000
O1 0.0000 0.0000 0.2436
O2 0.0147 0.5073 0.2390